{"formula": "NbTe4", "functional": "r2SCAN", "state": "optimized geometry", "energy_ev_per_atom": -25.64, "magnetic_moment_mub_per_cell": 0.27, "ef_ev_per_atom": -0.3559, "lattice_angstrom": [[-6.088, -2.582, -0.365], [0.809, -2.752, 5.969], [-2.600, 5.708, 2.984]], "species": ["Nb", "Nb", "Te", "Te", "Te", "Te", "Te", "Te", "Te", "Te"], "fractional_positions": [[0.000, 0.000, 0.747], [0.000, 0.000, 0.247], [0.323, 0.861, 0.997], [0.139, 0.677, 0.497], [0.861, 0.323, 0.497], [0.323, 0.139, 0.497], [0.861, 0.677, 0.997], [0.677, 0.139, 0.997], [0.139, 0.323, 0.997], [0.677, 0.861, 0.497]]}

---

{"formula": "Rb2CuCl3", "functional": "r2SCAN", "state": "optimized geometry", "energy_ev_per_atom": -11.15, "magnetic_moment_mub_per_cell": 0.00, "ef_ev_per_atom": -1.6221, "lattice_angstrom": [[-0.829, -2.246, -3.452], [4.332, -10.323, 5.678], [-11.918, -2.524, 4.504]], "species": ["Rb", "Rb", "Rb", "Rb", "Rb", "Rb", "Rb", "Rb", "Cu", "Cu", "Cu", "Cu", "Cl", "Cl", "Cl", "Cl", "Cl", "Cl", "Cl", "Cl", "Cl", "Cl", "Cl", "Cl"], "fractional_positions": [[0.750, 0.327, 0.026], [0.250, 0.173, 0.526], [0.750, 0.827, 0.474], [0.250, 0.513, 0.327], [0.750, 0.987, 0.827], [0.250, 0.673, 0.974], [0.750, 0.487, 0.673], [0.250, 0.013, 0.173], [0.750, 0.244, 0.309], [0.250, 0.756, 0.691], [0.750, 0.744, 0.191], [0.250, 0.256, 0.809], [0.250, 0.934, 0.640], [0.750, 0.360, 0.448], [0.250, 0.640, 0.552], [0.250, 0.772, 0.278], [0.250, 0.434, 0.860], [0.750, 0.860, 0.052], [0.750, 0.066, 0.360], [0.250, 0.272, 0.222], [0.750, 0.728, 0.778], [0.750, 0.228, 0.722], [0.250, 0.140, 0.948], [0.750, 0.566, 0.140]]}

---

{"formula": "NaInGe2O6", "functional": "r2SCAN", "state": "optimized geometry", "energy_ev_per_atom": -10.89, "magnetic_moment_mub_per_cell": 0.00, "ef_ev_per_atom": -1.9198, "lattice_angstrom": [[-1.398, -6.292, -2.392], [4.960, -3.280, 3.450], [-2.798, -2.362, 4.263]], "species": ["Na", "Na", "In", "In", "Ge", "Ge", "Ge", "Ge", "O", "O", "O", "O", "O", "O", "O", "O", "O", "O", "O", "O"], "fractional_positions": [[0.303, 0.697, 0.750], [0.697, 0.303, 0.250], [0.900, 0.100, 0.750], [0.100, 0.900, 0.250], [0.800, 0.617, 0.747], [0.383, 0.200, 0.753], [0.200, 0.383, 0.253], [0.617, 0.800, 0.247], [0.905, 0.380, 0.836], [0.620, 0.095, 0.664], [0.095, 0.620, 0.164], [0.380, 0.905, 0.336], [0.971, 0.804, 0.644], [0.196, 0.029, 0.856], [0.029, 0.196, 0.356], [0.804, 0.971, 0.144], [0.660, 0.620, 0.517], [0.380, 0.340, 0.983], [0.340, 0.380, 0.483], [0.620, 0.660, 0.017]]}

---

{"formula": "DySiPt", "functional": "r2SCAN", "state": "optimized geometry", "energy_ev_per_atom": -32.05, "magnetic_moment_mub_per_cell": 0.00, "ef_ev_per_atom": -1.3000, "lattice_angstrom": [[4.280, 0.000, 0.000], [0.000, 6.994, 0.000], [0.000, 0.000, 7.423]], "species": ["Dy", "Dy", "Dy", "Dy", "Si", "Si", "Si", "Si", "Pt", "Pt", "Pt", "Pt"], "fractional_positions": [[0.750, 0.504, 0.202], [0.250, 0.996, 0.702], [0.750, 0.004, 0.298], [0.250, 0.496, 0.798], [0.250, 0.813, 0.087], [0.250, 0.313, 0.413], [0.750, 0.187, 0.913], [0.750, 0.687, 0.587], [0.250, 0.700, 0.415], [0.250, 0.200, 0.085], [0.750, 0.800, 0.915], [0.750, 0.300, 0.585]]}

---

{"formula": "V5Si3", "functional": "r2SCAN", "state": "optimized geometry", "energy_ev_per_atom": -12.66, "magnetic_moment_mub_per_cell": 3.89, "ef_ev_per_atom": -0.5657, "lattice_angstrom": [[3.556, -6.159, 0.000], [3.556, 6.159, 0.000], [0.000, 0.000, 4.805]], "species": ["V", "V", "V", "V", "V", "V", "V", "V", "V", "V", "Si", "Si", "Si", "Si", "Si", "Si"], "fractional_positions": [[0.754, 0.754, 0.250], [0.000, 0.246, 0.250], [0.754, 0.000, 0.750], [0.333, 0.667, 0.500], [0.246, 0.000, 0.250], [0.667, 0.333, 0.500], [0.000, 0.754, 0.750], [0.333, 0.667, 0.000], [0.246, 0.246, 0.750], [0.667, 0.333, 0.000], [0.605, 0.605, 0.750], [0.395, 0.000, 0.750], [0.605, 0.000, 0.250], [0.000, 0.395, 0.750], [0.395, 0.395, 0.250], [0.000, 0.605, 0.250]]}

---

{"formula": "ErB3Mo", "functional": "r2SCAN", "state": "optimized geometry", "energy_ev_per_atom": -17.10, "magnetic_moment_mub_per_cell": 0.00, "ef_ev_per_atom": -0.6879, "lattice_angstrom": [[3.149, 0.000, 0.000], [0.000, 5.284, -1.095], [0.000, -0.011, 6.796]], "species": ["Er", "Er", "B", "B", "B", "B", "B", "B", "Mo", "Mo"], "fractional_positions": [[0.750, 0.177, 0.710], [0.250, 0.823, 0.290], [0.250, 0.417, 0.476], [0.750, 0.583, 0.524], [0.250, 0.412, 0.995], [0.750, 0.588, 0.005], [0.250, 0.084, 0.993], [0.750, 0.916, 0.007], [0.750, 0.311, 0.220], [0.250, 0.689, 0.780]]}

---

{"formula": "LaTlPd", "functional": "r2SCAN", "state": "optimized geometry", "energy_ev_per_atom": -36.05, "magnetic_moment_mub_per_cell": 0.00, "ef_ev_per_atom": -0.7581, "lattice_angstrom": [[-3.245, 6.105, -4.037], [1.071, -7.066, -3.608], [-3.635, -1.153, 1.179]], "species": ["La", "La", "La", "Tl", "Tl", "Tl", "Pd", "Pd", "Pd"], "fractional_positions": [[0.594, 0.000, 0.500], [0.406, 0.406, 0.500], [0.000, 0.594, 0.500], [0.259, 0.000, 0.000], [0.741, 0.741, 0.000], [0.000, 0.259, 0.000], [0.333, 0.667, 0.000], [0.667, 0.333, 0.000], [0.000, 0.000, 0.500]]}

---

{"formula": "Y6OsI10", "functional": "r2SCAN", "state": "optimized geometry", "energy_ev_per_atom": -26.15, "magnetic_moment_mub_per_cell": 2.00, "ef_ev_per_atom": -1.4184, "lattice_angstrom": [[-2.437, -2.705, -6.816], [9.555, -1.385, -0.033], [-3.895, -7.001, 5.458]], "species": ["Y", "Y", "Y", "Y", "Y", "Y", "Os", "I", "I", "I", "I", "I", "I", "I", "I", "I", "I"], "fractional_positions": [[0.114, 0.041, 0.762], [0.886, 0.959, 0.238], [0.967, 0.282, 0.082], [0.033, 0.718, 0.918], [0.355, 0.127, 0.170], [0.645, 0.873, 0.830], [0.000, 0.000, 0.000], [0.351, 0.453, 0.273], [0.649, 0.547, 0.727], [0.260, 0.087, 0.462], [0.740, 0.913, 0.538], [0.086, 0.371, 0.817], [0.914, 0.629, 0.183], [0.455, 0.814, 0.093], [0.545, 0.186, 0.907], [0.785, 0.261, 0.350], [0.215, 0.739, 0.650]]}

---

{"formula": "PuIn", "functional": "r2SCAN", "state": "optimized geometry", "energy_ev_per_atom": -54.92, "magnetic_moment_mub_per_cell": 5.75, "ef_ev_per_atom": -0.4560, "lattice_angstrom": [[3.248, 0.000, 0.000], [0.000, 3.248, 0.000], [0.000, 0.000, 4.907]], "species": ["Pu", "In"], "fractional_positions": [[0.500, 0.500, 0.500], [0.000, 0.000, 0.000]]}

---

{"formula": "Nd2Zn6Ge3", "functional": "r2SCAN", "state": "optimized geometry", "energy_ev_per_atom": -14.47, "magnetic_moment_mub_per_cell": 0.00, "ef_ev_per_atom": -0.4818, "lattice_angstrom": [[-6.043, 4.564, 0.581], [2.357, -2.329, -6.834], [-2.438, -3.262, 0.271]], "species": ["Nd", "Nd", "Zn", "Zn", "Zn", "Zn", "Zn", "Zn", "Ge", "Ge", "Ge"], "fractional_positions": [[0.667, 0.333, 0.000], [0.333, 0.667, 0.000], [0.711, 0.000, 0.500], [0.000, 0.711, 0.500], [0.189, 0.000, 0.000], [0.811, 0.811, 0.000], [0.289, 0.289, 0.500], [0.000, 0.189, 0.000], [0.380, 0.000, 0.500], [0.620, 0.620, 0.500], [0.000, 0.380, 0.500]]}

---

{"formula": "InAg", "functional": "r2SCAN", "state": "optimized geometry", "energy_ev_per_atom": -21.91, "magnetic_moment_mub_per_cell": 0.00, "ef_ev_per_atom": 0.0546, "lattice_angstrom": [[-1.223, 2.197, -2.384], [2.073, -1.430, -2.380], [-2.493, -2.266, -0.810]], "species": ["In", "Ag"], "fractional_positions": [[0.500, 0.500, 0.500], [0.000, 0.000, 0.000]]}

---

{"formula": "YbBiAu", "functional": "r2SCAN", "state": "optimized geometry", "energy_ev_per_atom": -49.03, "magnetic_moment_mub_per_cell": 0.00, "ef_ev_per_atom": -0.4940, "lattice_angstrom": [[0.607, -3.500, -3.404], [2.538, -4.072, 1.084], [-2.336, -4.306, 0.456]], "species": ["Yb", "Bi", "Au"], "fractional_positions": [[0.250, 0.250, 0.250], [0.500, 0.500, 0.500], [0.000, 0.000, 0.000]]}

---

{"formula": "EuSn3", "functional": "r2SCAN", "state": "optimized geometry", "energy_ev_per_atom": -28.64, "magnetic_moment_mub_per_cell": 6.89, "ef_ev_per_atom": -0.4551, "lattice_angstrom": [[-2.164, 3.891, 1.696], [-2.673, 0.229, -3.937], [-3.297, -2.740, 2.079]], "species": ["Eu", "Sn", "Sn", "Sn"], "fractional_positions": [[0.000, 0.000, 0.000], [0.000, 0.500, 0.500], [0.500, 0.500, 0.000], [0.500, 0.000, 0.500]]}

---

{"formula": "SrHgPb", "functional": "r2SCAN", "state": "optimized geometry", "energy_ev_per_atom": -40.84, "magnetic_moment_mub_per_cell": 0.00, "ef_ev_per_atom": -0.5710, "lattice_angstrom": [[-4.497, 2.296, -0.253], [0.639, -3.978, 3.054], [2.253, 5.092, 6.160]], "species": ["Sr", "Sr", "Hg", "Hg", "Pb", "Pb"], "fractional_positions": [[0.000, 0.000, 0.666], [0.000, 0.000, 0.166], [0.667, 0.333, 0.474], [0.333, 0.667, 0.974], [0.667, 0.333, 0.880], [0.333, 0.667, 0.380]]}

---

{"formula": "Na3B20", "functional": "r2SCAN", "state": "optimized geometry", "energy_ev_per_atom": -6.95, "magnetic_moment_mub_per_cell": 0.00, "ef_ev_per_atom": -0.0998, "lattice_angstrom": [[4.126, 0.000, 0.000], [0.000, 5.427, -1.659], [0.000, 0.009, 9.738]], "species": ["Na", "Na", "Na", "B", "B", "B", "B", "B", "B", "B", "B", "B", "B", "B", "B", "B", "B", "B", "B", "B", "B", "B", "B"], "fractional_positions": [[0.000, 0.636, 0.272], [0.000, 0.364, 0.728], [0.000, 0.000, 0.000], [0.500, 0.256, 0.512], [0.500, 0.744, 0.488], [0.500, 0.027, 0.595], [0.208, 0.826, 0.652], [0.208, 0.174, 0.348], [0.792, 0.174, 0.348], [0.792, 0.826, 0.652], [0.201, 0.500, 0.000], [0.799, 0.500, 0.000], [0.500, 0.609, 0.906], [0.500, 0.391, 0.094], [0.500, 0.703, 0.094], [0.500, 0.297, 0.906], [0.500, 0.735, 0.769], [0.500, 0.265, 0.231], [0.500, 0.965, 0.231], [0.500, 0.035, 0.769], [0.500, 0.569, 0.595], [0.500, 0.431, 0.405], [0.500, 0.973, 0.405]]}

---

{"formula": "Cd2P6O17", "functional": "r2SCAN", "state": "optimized geometry", "energy_ev_per_atom": -10.02, "magnetic_moment_mub_per_cell": 0.00, "ef_ev_per_atom": -2.1875, "lattice_angstrom": [[18.143, 0.000, 0.000], [0.000, 5.501, 0.015], [0.000, 2.774, 7.094]], "species": ["Cd", "Cd", "Cd", "Cd", "P", "P", "P", "P", "P", "P", "P", "P", "P", "P", "P", "P", "O", "O", "O", "O", "O", "O", "O", "O", "O", "O", "O", "O", "O", "O", "O", "O", "O", "O", "O", "O", "O", "O", "O", "O", "O", "O", "O", "O", "O", "O", "O", "O", "O", "O"], "fractional_positions": [[0.072, 0.095, 0.142], [0.572, 0.905, 0.358], [0.928, 0.905, 0.858], [0.428, 0.095, 0.642], [0.030, 0.493, 0.694], [0.530, 0.507, 0.806], [0.970, 0.507, 0.306], [0.470, 0.493, 0.194], [0.169, 0.734, 0.578], [0.669, 0.266, 0.922], [0.831, 0.266, 0.422], [0.331, 0.734, 0.078], [0.178, 0.712, 0.973], [0.678, 0.288, 0.527], [0.822, 0.288, 0.027], [0.322, 0.712, 0.473], [0.011, 0.235, 0.842], [0.511, 0.765, 0.658], [0.989, 0.765, 0.158], [0.489, 0.235, 0.342], [0.012, 0.739, 0.721], [0.512, 0.261, 0.779], [0.988, 0.261, 0.279], [0.488, 0.739, 0.221], [0.000, 0.500, 0.500], [0.500, 0.500, 0.000], [0.118, 0.487, 0.657], [0.618, 0.513, 0.843], [0.882, 0.513, 0.343], [0.382, 0.487, 0.157], [0.140, 0.949, 0.417], [0.640, 0.051, 0.083], [0.240, 0.601, 0.538], [0.740, 0.399, 0.962], [0.760, 0.399, 0.462], [0.260, 0.601, 0.038], [0.334, 0.942, 0.525], [0.834, 0.058, 0.975], [0.666, 0.058, 0.475], [0.166, 0.942, 0.025], [0.372, 0.487, 0.535], [0.872, 0.513, 0.965], [0.628, 0.513, 0.465], [0.128, 0.487, 0.035], [0.312, 0.820, 0.247], [0.812, 0.180, 0.253], [0.688, 0.180, 0.753], [0.188, 0.820, 0.747], [0.360, 0.949, 0.917], [0.860, 0.051, 0.583]]}

---

{"formula": "Nd3BeCrS7", "functional": "r2SCAN", "state": "optimized geometry", "energy_ev_per_atom": -15.53, "magnetic_moment_mub_per_cell": 6.00, "ef_ev_per_atom": -1.8704, "lattice_angstrom": [[-8.484, -2.850, -4.155], [3.623, -4.961, 7.721], [-3.083, 3.650, 3.791]], "species": ["Nd", "Nd", "Nd", "Nd", "Nd", "Nd", "Be", "Be", "Cr", "Cr", "S", "S", "S", "S", "S", "S", "S", "S", "S", "S", "S", "S", "S", "S"], "fractional_positions": [[0.846, 0.239, 0.270], [0.761, 0.607, 0.270], [0.393, 0.154, 0.270], [0.154, 0.761, 0.770], [0.239, 0.393, 0.770], [0.607, 0.846, 0.770], [0.667, 0.333, 0.855], [0.333, 0.667, 0.355], [0.000, 0.000, 0.453], [0.000, 0.000, 0.953], [0.912, 0.132, 0.696], [0.868, 0.779, 0.696], [0.221, 0.088, 0.696], [0.088, 0.868, 0.196], [0.132, 0.221, 0.196], [0.779, 0.912, 0.196], [0.580, 0.104, 0.984], [0.896, 0.476, 0.984], [0.524, 0.420, 0.984], [0.420, 0.896, 0.484], [0.104, 0.524, 0.484], [0.476, 0.580, 0.484], [0.667, 0.333, 0.510], [0.333, 0.667, 0.010]]}

---

{"formula": "Li2TlBi", "functional": "r2SCAN", "state": "optimized geometry", "energy_ev_per_atom": -29.54, "magnetic_moment_mub_per_cell": 0.00, "ef_ev_per_atom": -0.4249, "lattice_angstrom": [[-2.816, -4.167, 0.540], [-0.329, -2.262, 4.512], [-4.325, 0.192, 2.616]], "species": ["Li", "Li", "Tl", "Bi"], "fractional_positions": [[0.000, 0.000, 0.000], [0.500, 0.500, 0.500], [0.750, 0.750, 0.750], [0.250, 0.250, 0.250]]}

---

{"formula": "ZnPd2", "functional": "r2SCAN", "state": "optimized geometry", "energy_ev_per_atom": -18.74, "magnetic_moment_mub_per_cell": 0.00, "ef_ev_per_atom": -0.4672, "lattice_angstrom": [[-1.168, 3.987, -0.314], [2.222, 0.268, -4.868], [-6.709, -2.216, -3.185]], "species": ["Zn", "Zn", "Zn", "Zn", "Pd", "Pd", "Pd", "Pd", "Pd", "Pd", "Pd", "Pd"], "fractional_positions": [[0.750, 0.186, 0.599], [0.750, 0.686, 0.901], [0.250, 0.814, 0.401], [0.250, 0.314, 0.099], [0.750, 0.673, 0.569], [0.750, 0.173, 0.931], [0.250, 0.327, 0.431], [0.250, 0.827, 0.069], [0.750, 0.538, 0.224], [0.750, 0.038, 0.276], [0.250, 0.462, 0.776], [0.250, 0.962, 0.724]]}